(1)
Here is an optimized crystal structure of Zn4FeSe5 from the Materials Project. Energies are from PBE.

Lattice parameters (Å, degrees): 16.7069 16.7069 16.7069 13.92 13.92 13.92
Last column: nearest neighbours and their distance in Å.
Fractional positions:
Fe1 0.0001 0.0001 0.0001  4 Se 2.45-2.48
Se1 0.8500 0.8500 0.8500  4 Zn 2.48
Se2 0.6502 0.6502 0.6502  3 Fe 2.48, 1 Zn 2.49
Se3 0.0496 0.0496 0.0496  1 Fe 2.45, 3 Zn 2.49
Se4 0.2500 0.2500 0.2500  4 Zn 2.48
Se5 0.4500 0.4500 0.4500  4 Zn 2.48
Zn1 0.8000 0.8000 0.8000  4 Se 2.48
Zn2 0.4001 0.4001 0.4001  4 Se 2.48-2.49
Zn3 0.6000 0.6000 0.6000  4 Se 2.48-2.49
Zn4 0.2000 0.2000 0.2000  4 Se 2.48

Calculated values
The value obtained for the final energy is -3.640 eV per atom.

***

(2)
Here is an optimized crystal structure of Zr6FeSe2 from the Materials Project. Energies are from PBE.

Lattice parameters (Å, degrees): 3.5097 12.9308 16.0422 90.00 90.00 90.00
Last column: nearest neighbours and their distance in Å.
Fractional positions:
Zr1 0.5000 0.1996 0.1975  2 Fe 2.60, 3 Se 2.83-2.84
Zr2 0.5000 0.5911 0.9211  2 Fe 2.63
Zr3 0.0000 0.9726 0.8952  2 Se 2.87-3.03, 1 Fe 3.00, 4 Zr 3.14-3.20
Zr4 0.5000 0.9137 0.2548  4 Se 2.74
Zr5 0.5000 0.1186 0.4208  3 Se 2.77-2.80, 2 Zr 3.10
Zr6 0.5000 0.8814 0.5792  3 Se 2.77-2.80, 2 Zr 3.10
Zr7 0.0000 0.6996 0.3025  2 Fe 2.60, 3 Se 2.83-2.84
Zr8 0.5000 0.5274 0.3952  2 Se 2.87-3.03, 1 Fe 3.00, 4 Zr 3.14-3.20
Zr9 0.5000 0.8334 0.0126  2 Fe 2.66, 2 Se 2.85
Zr10 0.0000 0.5863 0.7548  4 Se 2.74
Zr11 0.5000 0.4089 0.0789  2 Fe 2.63
Zr12 0.5000 0.1666 0.9874  2 Fe 2.66, 2 Se 2.85
Zr13 0.0000 0.0274 0.1048  2 Se 2.87-3.03, 1 Fe 3.00, 4 Zr 3.14-3.20
Zr14 0.5000 0.0863 0.7452  4 Se 2.74
Zr15 0.0000 0.6186 0.0792  3 Se 2.77-2.80, 2 Zr 3.10
Zr16 0.5000 0.8004 0.8025  2 Fe 2.60, 3 Se 2.83-2.84
Zr17 0.0000 0.0911 0.5789  2 Fe 2.63
Zr18 0.5000 0.4726 0.6048  2 Se 2.87-3.03, 1 Fe 3.00, 4 Zr 3.14-3.20
Zr19 0.0000 0.3334 0.4874  2 Fe 2.66, 2 Se 2.85
Zr20 0.0000 0.3004 0.6975  2 Fe 2.60, 3 Se 2.83-2.84
Zr21 0.0000 0.9089 0.4211  2 Fe 2.63
Zr22 0.0000 0.4137 0.2452  4 Se 2.74
Zr23 0.0000 0.6666 0.5126  2 Fe 2.66, 2 Se 2.85
Zr24 0.0000 0.3814 0.9208  3 Se 2.77-2.80, 2 Zr 3.10
Se1 0.5000 0.6869 0.6520  7 Zr 2.74-2.87
Se2 0.5000 0.5706 0.2095  8 Zr 2.74-3.03
Se3 0.0000 0.8131 0.1520  7 Zr 2.74-2.87
Se4 0.0000 0.0706 0.2905  8 Zr 2.74-3.03
Se5 0.0000 0.1869 0.8480  7 Zr 2.74-2.87
Se6 0.0000 0.9294 0.7095  8 Zr 2.74-3.03
Se7 0.5000 0.3131 0.3480  7 Zr 2.74-2.87
Se8 0.5000 0.4294 0.7905  8 Zr 2.74-3.03
Fe1 0.0000 0.7418 0.9126  6 Zr 2.60-2.66
Fe2 0.5000 0.2418 0.5874  6 Zr 2.60-2.66
Fe3 0.5000 0.7582 0.4126  6 Zr 2.60-2.66
Fe4 0.0000 0.2582 0.0874  6 Zr 2.60-2.66

Calculated values
The value obtained for the final energy is -8.096 eV per atom.

***

(3)
Here is an optimized crystal structure of FeSi2 from the Materials Project. Energies are from PBE.

Lattice parameters (Å, degrees): 2.7049 2.7049 5.1378 90.00 90.00 90.00
Last column: nearest neighbours and their distance in Å.
Fractional positions:
Si1 0.5000 0.5000 0.2722  1 Si 2.34, 4 Fe 2.37
Si2 0.5000 0.5000 0.7278  1 Si 2.34, 4 Fe 2.37
Fe1 0.0000 0.0000 0.0000  8 Si 2.37

Calculated values
The value obtained for the final energy is -6.825 eV per atom.